A plane-wave DFT calculation with PBE was carried out for an optimized crystal structure of NdAs.

Cell lengths 4.2756, 4.2756, 4.2756 Å; angles 60.00, 60.00, 60.00 degrees
Positions (direct):
1 Nd 0.0000 0.0000 0.0000
2 As 0.5000 0.5000 0.5000

Computed properties:
Energy of formation: -1.503 eV per atom